Density functional theory data (GGA+U) for a relaxed TaAlW2O8 crystal.

Calculated values
- magnetization (μB/cell) = 0.0
- density (Mg/m³) = 8.56
- total DFT energy (no corrections) (eV/atom) = -8.160
- formation energy (eV/atom) = -2.5993

Cell lengths 5.6250, 5.1976, 10.6746 Å; angles 61.00, 90.00, 90.00 degrees
With the nearest neighbours (Å) after each atom.
Element x y z (fractional)
Ta (0.3573, 0.5000, 0.7500)  6 O 1.96-2.04
Ta (0.6427, 0.5000, 0.2500)  6 O 1.96-2.04
Al (0.6694, 0.0000, 0.7500)  6 O 1.90-2.02
Al (0.3306, 0.0000, 0.2500)  6 O 1.90-2.02
W (0.1614, 0.2529, 0.5021)  6 O 2.04-2.15
W (0.1614, 0.7471, 0.9979)  6 O 2.04-2.15
W (0.8386, 0.7471, 0.4979)  6 O 2.04-2.15
W (0.8386, 0.2529, 0.0021)  6 O 2.04-2.15
O (0.4029, 0.7202, 0.8598)  1 Ta 2.01, 1 Al 2.02, 1 W 2.06
O (0.4029, 0.2798, 0.6402)  1 Ta 2.01, 1 Al 2.02, 1 W 2.06
O (0.5971, 0.2798, 0.1402)  1 Ta 2.01, 1 Al 2.02, 1 W 2.06
O (0.5971, 0.7202, 0.3598)  1 Ta 2.01, 1 Al 2.02, 1 W 2.06
O (0.8735, 0.2175, 0.3840)  1 Ta 1.96, 2 W 2.11-2.15
O (0.8735, 0.7825, 0.1160)  1 Ta 1.96, 2 W 2.11-2.15
O (0.1265, 0.7825, 0.6160)  1 Ta 1.96, 2 W 2.11-2.15
O (0.1265, 0.2175, 0.8840)  1 Ta 1.96, 2 W 2.11-2.15
O (0.6257, 0.2113, 0.8569)  1 Al 1.95, 1 Ta 2.04, 1 W 2.05
O (0.6257, 0.7887, 0.6431)  1 Al 1.95, 1 Ta 2.04, 1 W 2.05
O (0.3743, 0.7887, 0.1431)  1 Al 1.95, 1 Ta 2.04, 1 W 2.05
O (0.3743, 0.2113, 0.3569)  1 Al 1.95, 1 Ta 2.04, 1 W 2.05
O (0.8856, 0.7168, 0.8811)  1 Al 1.90, 1 W 2.04
O (0.1144, 0.2832, 0.1189)  1 Al 1.90, 1 W 2.04
O (0.8856, 0.2832, 0.6189)  1 Al 1.90, 1 W 2.04
O (0.1144, 0.7168, 0.3811)  1 Al 1.90, 1 W 2.04